Record 1
Density functional theory data (GGA-PBE) for a relaxed structure of Tm2IrPd.

```
Tm2IrPd
1.0
0.000 3.422 3.422
3.422 0.000 3.422
3.422 3.422 0.000
Tm Ir Pd
2 1 1
Cartesian
1.711 1.711 1.711 Tm
5.133 5.133 5.133 Tm
0.000 0.000 0.000 Ir
3.422 3.422 3.422 Pd
```

Computed properties:
Crystal system: cubic
E_form, eV/atom: -0.9896



Record 2
Density functional theory data (GGA-PBE) for a relaxed structure of Li5Cl3O.

```
Li5Cl3O
1.0
-3.522 3.522 5.908
3.522 -3.522 5.908
3.522 3.522 -5.908
Li Cl O
10 6 2
Cartesian
0.000 0.000 0.000 Li
2.518 -1.005 1.886 Li
4.527 -1.005 4.022 Li
4.527 1.005 1.886 Li
2.518 1.005 4.022 Li
0.000 0.000 5.908 Li
1.005 2.518 1.886 Li
-1.005 2.518 4.022 Li
-1.005 4.527 1.886 Li
1.005 4.527 4.022 Li
2.053 1.469 0.000 Cl
0.000 0.000 2.954 Cl
2.053 -1.469 5.908 Cl
1.469 4.991 0.000 Cl
0.000 0.000 8.862 Cl
1.469 2.053 5.908 Cl
3.522 0.000 2.954 O
0.000 3.522 2.954 O
```

Computed properties:
Crystal system: tetragonal
E (MP2020), eV per atom: -3.991
E_form, eV/atom: -1.7641



Record 3
Density functional theory data (GGA-PBE) for a relaxed structure of TaAlO4.

```
TaAlO4
1.0
3.224 -3.280 0.000
3.224 3.280 0.000
0.000 0.000 3.014
Ta Al O
1 1 4
Cartesian
0.000 0.000 0.000 Ta
3.224 0.000 1.507 Al
3.224 1.958 1.507 O
1.987 0.000 0.000 O
4.461 0.000 0.000 O
3.224 -1.958 1.507 O
```

Computed properties:
Crystal system: orthorhombic
E (MP2020), eV per atom: -9.234
E_form, eV/atom: -3.3343